No. 1
## Dy5Ge10Ir4 (meta-GGA r2SCAN)

Data for a relaxed Dy5Ge10Ir4 crystal.

Theoretical density   10.59 g/cm3
Spin magnetization   0.00 μB per cell
Total energy   -1048.793 eV/cell
Space group   P4/mbm (127)

a b c (Å): 12.951 12.951 4.315
angles (deg): 90.00 90.00 90.00
Fractional coordinates of all 38 atoms:
1 Dy 0.000 0.000 0.000
2 Dy 0.115 0.385 0.500
3 Dy 0.174 0.674 0.500
4 Dy 0.326 0.174 0.500
5 Dy 0.385 0.885 0.500
6 Dy 0.500 0.500 0.000
7 Dy 0.615 0.115 0.500
8 Dy 0.674 0.826 0.500
9 Dy 0.826 0.326 0.500
10 Dy 0.885 0.615 0.500
11 Ge 0.006 0.844 0.500
12 Ge 0.067 0.567 0.000
13 Ge 0.156 0.006 0.500
14 Ge 0.164 0.201 0.000
15 Ge 0.201 0.836 0.000
16 Ge 0.299 0.336 0.000
17 Ge 0.336 0.701 0.000
18 Ge 0.344 0.506 0.500
19 Ge 0.433 0.067 0.000
20 Ge 0.494 0.344 0.500
21 Ge 0.506 0.656 0.500
22 Ge 0.567 0.933 0.000
23 Ge 0.656 0.494 0.500
24 Ge 0.664 0.299 0.000
25 Ge 0.701 0.664 0.000
26 Ge 0.799 0.164 0.000
27 Ge 0.836 0.799 0.000
28 Ge 0.844 0.994 0.500
29 Ge 0.933 0.433 0.000
30 Ge 0.994 0.156 0.500
31 Ir 0.020 0.755 0.000
32 Ir 0.245 0.020 0.000
33 Ir 0.255 0.520 0.000
34 Ir 0.480 0.255 0.000
35 Ir 0.520 0.745 0.000
36 Ir 0.745 0.480 0.000
37 Ir 0.755 0.980 0.000
38 Ir 0.980 0.245 0.000


No. 2
## DyGe2Ir (meta-GGA r2SCAN)

Data for a relaxed DyGe2Ir crystal.

Theoretical density   11.01 g/cm3
Spin magnetization   0.00 μB per cell
Total energy   -462.642 eV/cell
Space group   Immm (71)

a b c (Å): 9.404 9.404 9.404
angles (deg): 153.86 123.98 62.83
Fractional coordinates of all 16 atoms:
1 Dy 0.206 0.206 0.000
2 Dy 0.238 0.000 0.238
3 Dy 0.762 0.000 0.762
4 Dy 0.794 0.794 0.000
5 Ge 0.077 0.577 0.500
6 Ge 0.145 0.799 0.347
7 Ge 0.423 0.423 0.000
8 Ge 0.452 0.799 0.653
9 Ge 0.548 0.201 0.347
10 Ge 0.577 0.577 0.000
11 Ge 0.855 0.201 0.653
12 Ge 0.923 0.423 0.500
13 Ir 0.106 0.355 0.751
14 Ir 0.397 0.645 0.751
15 Ir 0.603 0.355 0.249
16 Ir 0.894 0.645 0.249


No. 3
## Dy2MgGe2 (meta-GGA r2SCAN)

Data for a relaxed Dy2MgGe2 crystal.

Theoretical density   7.43 g/cm3
Spin magnetization   0.00 μB per cell
Total energy   -200.548 eV/cell
Space group   P4/mbm (127)

a b c (Å): 7.236 7.236 4.222
angles (deg): 90.00 90.00 90.00
Fractional coordinates of all 10 atoms:
1 Dy 0.177 0.323 0.000
2 Dy 0.323 0.823 0.000
3 Dy 0.677 0.177 0.000
4 Dy 0.823 0.677 0.000
5 Mg 0.000 0.000 0.500
6 Mg 0.500 0.500 0.500
7 Ge 0.123 0.623 0.500
8 Ge 0.377 0.123 0.500
9 Ge 0.623 0.877 0.500
10 Ge 0.877 0.377 0.500


No. 4
## DyNi2Ge2 (meta-GGA r2SCAN)

Data for a relaxed DyNi2Ge2 crystal.

Theoretical density   8.95 g/cm3
Spin magnetization   0.00 μB per cell
Total energy   -87.280 eV/cell
Space group   I4/mmm (139)

a b c (Å): 5.622 5.622 5.622
angles (deg): 137.93 137.93 61.01
Fractional coordinates of all 5 atoms:
1 Dy 0.000 0.000 0.000
2 Ni 0.250 0.750 0.500
3 Ni 0.750 0.250 0.500
4 Ge 0.371 0.371 0.000
5 Ge 0.629 0.629 0.000


Look up the total energy of the first one. -1048.793 eV/cell